(1)
# KRbTi4P6O24, relaxed, DFT PBE-GGA
data_KRbTi4P6O24
_chemical_formula_sum 'K3 Rb3 Ti12 P18 O72'
_cell_length_a 8.4552
_cell_length_b 8.4552
_cell_length_c 23.6106
_cell_angle_alpha 90.00
_cell_angle_beta 90.00
_cell_angle_gamma 120.00
_space_group_name_H-M_alt 'R -3'
_space_group_IT_number 148
_space_group_name_Hall '-R 3'
loop_
_atom_site_label
_atom_site_type_symbol
_atom_site_fract_x
_atom_site_fract_y
_atom_site_fract_z
K1 K 0.0000 0.0000 0.0000
Rb1 Rb 0.0000 0.0000 0.5000
Ti1 Ti 0.0000 0.0000 0.1502
Ti2 Ti 0.0000 0.0000 0.3497
P1 P 0.9998 0.2810 0.2501
O1 O 0.0304 0.1988 0.9002
O2 O 0.0306 0.8312 0.3997
O3 O 0.0588 0.2106 0.1984
O4 O 0.0592 0.8487 0.6984
# Energy with MP2020 corrections, eV/atom: -8.1649

=====

(2)
# CoHgC4Se4N4, relaxed, DFT PBE-GGA
data_CoHgC4Se4N4
_chemical_formula_sum 'Co2 Hg2 C8 Se8 N8'
_cell_length_a 11.3779
_cell_length_b 11.3779
_cell_length_c 5.2603
_cell_angle_alpha 90.00
_cell_angle_beta 90.00
_cell_angle_gamma 90.00
_space_group_name_H-M_alt 'I -4'
_space_group_IT_number 82
_space_group_name_Hall 'I -4'
loop_
_atom_site_label
_atom_site_type_symbol
_atom_site_fract_x
_atom_site_fract_y
_atom_site_fract_z
Co1 Co 0.0000 0.0000 0.0000
Hg1 Hg 0.0000 0.5000 0.7500
C1 C 0.0608 0.2121 0.6563
Se1 Se 0.1017 0.3322 0.4502
N1 N 0.0369 0.1316 0.7876
# Piezoelectric modulus e_max, C/m²: 0.1
# Energy with MP2020 corrections, eV/atom: -6.3460

=====

(3)
# Sr3Li, relaxed, DFT PBE-GGA
data_Sr3Li
_chemical_formula_sum 'Sr6 Li2'
_cell_length_a 8.1130
_cell_length_b 8.1130
_cell_length_c 6.5970
_cell_angle_alpha 90.00
_cell_angle_beta 90.00
_cell_angle_gamma 120.00
_space_group_name_H-M_alt 'P 63/m m c'
_space_group_IT_number 194
_space_group_name_Hall '-P 6c 2c'
loop_
_atom_site_label
_atom_site_type_symbol
_atom_site_fract_x
_atom_site_fract_y
_atom_site_fract_z
Sr1 Sr 0.1698 0.3395 0.2500
Li1 Li 0.3333 0.6667 0.7500
# Excess energy over the best structure of this formula in the dataset, meV/atom: 0.0

=====

(4)
HoBiPt: relaxed, PBE-GGA.

```
data_HoBiPt
_chemical_formula_sum 'Ho4 Bi4 Pt4'
_cell_length_a 6.7285
_cell_length_b 6.7285
_cell_length_c 6.7285
_cell_angle_alpha 90.00
_cell_angle_beta 90.00
_cell_angle_gamma 90.00
_space_group_name_H-M_alt 'F -4 3 m'
_space_group_IT_number 216
_space_group_name_Hall 'F -4 2 3'
loop_
_atom_site_label
_atom_site_type_symbol
_atom_site_fract_x
_atom_site_fract_y
_atom_site_fract_z
Ho1 Ho 0.0000 0.0000 0.0000
Bi1 Bi 0.0000 0.0000 0.5000
Pt1 Pt 0.2500 0.2500 0.2500
```

=====

(5)
# Ba6MgSc2C2O6F14, relaxed, DFT PBE-GGA
data_Ba6MgSc2C2O6F14
_chemical_formula_sum 'Ba12 Mg2 Sc4 C4 O12 F28'
_cell_length_a 13.3775
_cell_length_b 11.9168
_cell_length_c 6.1389
_cell_angle_alpha 90.00
_cell_angle_beta 90.14
_cell_angle_gamma 90.00
_space_group_name_H-M_alt 'C 1 2 1'
_space_group_IT_number 5
_space_group_name_Hall 'C 2y'
loop_
_atom_site_label
_atom_site_type_symbol
_atom_site_fract_x
_atom_site_fract_y
_atom_site_fract_z
Ba1 Ba 0.0966 0.0000 0.2623
Ba2 Ba 0.1110 0.2813 0.7625
Ba3 Ba 0.1386 0.7306 0.8093
Mg1 Mg 0.0000 0.5801 0.5000
Sc1 Sc 0.2143 0.4917 0.2328
C1 C 0.0166 0.4992 0.1240
O1 O 0.0689 0.5048 0.7433
O2 O 0.0740 0.4022 0.1654
O3 O 0.0803 0.5909 0.1847
F1 F 0.0000 0.1407 0.0000
F2 F 0.0000 0.1594 0.5000
F3 F 0.0000 0.7440 0.5000
F4 F 0.0000 0.8493 0.0000
F5 F 0.1147 0.9685 0.6959
F6 F 0.2216 0.1144 0.9781
F7 F 0.2315 0.3588 0.4466
F8 F 0.2359 0.8862 0.0275
F9 F 0.2409 0.6021 0.4878
# Excess energy over the best structure of this formula in the dataset, meV/atom: 0.0
# Energy with MP2020 corrections, eV/atom: -6.8331

=====

(6)
# Sr14La6Mg3Ti17O60, relaxed, DFT PBE-GGA
data_Sr14La6Mg3Ti17O60
_chemical_formula_sum 'Sr28 La12 Mg6 Ti34 O120'
_cell_length_a 9.6709
_cell_length_b 5.5790
_cell_length_c 45.8696
_cell_angle_alpha 90.00
_cell_angle_beta 94.30
_cell_angle_gamma 90.00
_space_group_name_H-M_alt 'C 1 m 1'
_space_group_IT_number 8
_space_group_name_Hall 'C -2y'
loop_
_atom_site_label
_atom_site_type_symbol
_atom_site_fract_x
_atom_site_fract_y
_atom_site_fract_z
Sr1 Sr 0.0000 0.0000 0.0000
Sr2 Sr 0.0002 0.5000 0.5003
Sr3 Sr 0.0501 0.5000 0.6503
Sr4 Sr 0.0511 0.0000 0.1493
Sr5 Sr 0.1000 0.5000 0.8001
Sr6 Sr 0.1503 0.5000 0.9499
Sr7 Sr 0.1988 0.0000 0.6004
Sr8 Sr 0.2000 0.5000 0.0999
Sr9 Sr 0.2505 0.0000 0.7499
Sr10 Sr 0.3000 0.0000 0.9000
Sr11 Sr 0.3505 0.0000 0.0499
Sr12 Sr 0.4000 0.5000 0.7002
Sr13 Sr 0.4006 0.0000 0.1997
Sr14 Sr 0.4503 0.5000 0.8499
La1 La 0.0952 0.0000 0.3006
La2 La 0.1543 0.0000 0.4481
La3 La 0.2542 0.5000 0.2491
La4 La 0.2963 0.5000 0.4014
La5 La 0.3522 0.5000 0.5496
La6 La 0.4530 0.0000 0.3491
Mg1 Mg 0.1250 0.0000 0.3744
Mg2 Mg 0.3242 0.5000 0.4748
Mg3 Mg 0.4268 0.0000 0.2750
Ti1 Ti 0.0212 0.5000 0.5749
Ti2 Ti 0.0264 0.0000 0.0753
Ti3 Ti 0.0713 0.0000 0.2264
Ti4 Ti 0.0754 0.5000 0.7254
Ti5 Ti 0.1256 0.5000 0.8753
Ti6 Ti 0.1753 0.5000 0.0253
Ti7 Ti 0.1766 0.0000 0.5227
Ti8 Ti 0.2253 0.0000 0.6753
Ti9 Ti 0.2289 0.5000 0.1753
Ti10 Ti 0.2750 0.0000 0.8254
Ti11 Ti 0.2751 0.5000 0.3251
Ti12 Ti 0.3258 0.0000 0.9753
Ti13 Ti 0.3756 0.0000 0.1255
Ti14 Ti 0.3764 0.5000 0.6255
Ti15 Ti 0.4258 0.5000 0.7754
Ti16 Ti 0.4750 0.5000 0.9253
Ti17 Ti 0.4781 0.0000 0.4252
O1 O 0.0095 0.5000 0.9961
O2 O 0.0289 0.0000 0.4931
O3 O 0.0384 0.5000 0.1533
O4 O 0.0387 0.0000 0.6534
O5 O 0.0625 0.2502 0.9013
O6 O 0.0756 0.2458 0.5478
O7 O 0.0814 0.2527 0.4047
O8 O 0.0868 0.2503 0.0476
O9 O 0.1096 0.0000 0.7961
O10 O 0.1237 0.5000 0.4556
O11 O 0.1334 0.5000 0.2910
O12 O 0.1392 0.0000 0.9529
O13 O 0.1625 0.2498 0.7014
O14 O 0.1651 0.2542 0.3434
O15 O 0.1697 0.2560 0.2030
O16 O 0.1872 0.2498 0.8477
O17 O 0.2093 0.0000 0.0959
O18 O 0.2188 0.5000 0.5938
O19 O 0.2221 0.0000 0.2561
O20 O 0.2390 0.5000 0.7530
O21 O 0.2624 0.2497 0.0013
O22 O 0.2737 0.2512 0.5058
O23 O 0.2846 0.2481 0.1475
O24 O 0.2852 0.2514 0.6475
O25 O 0.3097 0.5000 0.8961
O26 O 0.3317 0.0000 0.3911
O27 O 0.3363 0.0000 0.5560
O28 O 0.3389 0.5000 0.0529
O29 O 0.3624 0.2502 0.8013
O30 O 0.3682 0.2444 0.4441
O31 O 0.3819 0.2549 0.3052
O32 O 0.3872 0.2502 0.9477
O33 O 0.4092 0.0000 0.6960
O34 O 0.4130 0.5000 0.1939
O35 O 0.4159 0.5000 0.3577
O36 O 0.4393 0.0000 0.8529
O37 O 0.4622 0.2502 0.1014
O38 O 0.4670 0.2504 0.6023
O39 O 0.4725 0.2610 0.2456
O40 O 0.4870 0.2497 0.7477
# Energy with MP2020 corrections, eV/atom: -8.4794

=====

(7)
# ErClO, relaxed, DFT PBE-GGA
data_ErClO
_chemical_formula_sum 'Er2 Cl2 O2'
_cell_length_a 3.8845
_cell_length_b 3.8845
_cell_length_c 6.6669
_cell_angle_alpha 90.00
_cell_angle_beta 90.00
_cell_angle_gamma 90.00
_space_group_name_H-M_alt 'P 4/n m m'
_space_group_IT_number 129
loop_
_space_group_symop_operation_xyz
'x,y,z'
'-x,-y,-z'
'-y+1/2,x,z'
'y+1/2,-x,-z'
'-x+1/2,-y+1/2,z'
'x+1/2,y+1/2,-z'
'y,-x+1/2,z'
'-y,x+1/2,-z'
'x+1/2,-y,-z'
'-x+1/2,y,z'
'-y,-x,-z'
'y,x,z'
'-x,y+1/2,-z'
'x,-y+1/2,z'
'y+1/2,x+1/2,-z'
'-y+1/2,-x+1/2,z'
loop_
_atom_site_label
_atom_site_type_symbol
_atom_site_fract_x
_atom_site_fract_y
_atom_site_fract_z
Er1 Er 0.2500 0.2500 0.1657
Cl1 Cl 0.2500 0.2500 0.6272
O1 O 0.2500 0.7500 0.0000
# Energy with MP2020 corrections, eV/atom: -7.0933

=====

(8)
# ZnHg3S2Cl4, relaxed, DFT PBE-GGA
data_ZnHg3S2Cl4
_chemical_formula_sum 'Zn4 Hg12 S8 Cl16'
_cell_length_a 7.4406
_cell_length_b 12.8594
_cell_length_c 12.1468
_cell_angle_alpha 90.00
_cell_angle_beta 90.00
_cell_angle_gamma 90.00
_space_group_name_H-M_alt 'C m c 21'
_space_group_IT_number 36
_space_group_name_Hall 'C 2c -2'
loop_
_atom_site_label
_atom_site_type_symbol
_atom_site_fract_x
_atom_site_fract_y
_atom_site_fract_z
Zn1 Zn 0.0000 0.0009 0.0000
Hg1 Hg 0.0000 0.4850 0.2563
Hg2 Hg 0.2253 0.2553 0.2558
S1 S 0.0000 0.0048 0.1815
S2 S 0.0000 0.3337 0.1344
Cl1 Cl 0.0000 0.1709 0.4254
Cl2 Cl 0.0000 0.3329 0.8373
Cl3 Cl 0.2434 0.4142 0.4225
# Energy with MP2020 corrections, eV/atom: -2.4152

=====

| no. | ΔE_f (eV per atom) | volume (A^3/atom) |
| --- | --- | --- |
| 1 | -3.0287 | 13.53 |
| 2 | 0.2009 | 24.32 |
| 3 | 0.0720 | 47.01 |
| 4 | -1.0295 | 25.38 |
| 5 | -3.5838 | 15.78 |
| 6 | -3.5877 | 12.34 |
| 7 | -3.3052 | 16.77 |
| 8 | -0.6314 | 29.06 |